[1]
DFT (GGA-PBE) results for a relaxed structure of Y2AgRu.

Cell: 4.9819 4.9819 4.9819 Å, 60.00 60.00 60.00°
Positions (direct):
Y (0.2500, 0.2500, 0.2500)
Y (0.7500, 0.7500, 0.7500)
Ag (0.0000, 0.0000, 0.0000)
Ru (0.5000, 0.5000, 0.5000)

- Total DFT energy (no corrections): -6.61 eV per atom

[2]
DFT (GGA-PBE) results for a relaxed structure of Ta3C.

Cell: 5.4482 5.4482 4.7032 Å, 90.00 90.00 120.00°
Positions (direct):
Ta (0.1674, 0.3348, 0.2500)
Ta (0.1674, 0.8326, 0.2500)
Ta (0.3348, 0.1674, 0.7500)
Ta (0.6652, 0.8326, 0.2500)
Ta (0.8326, 0.1674, 0.7500)
Ta (0.8326, 0.6652, 0.7500)
C (0.3333, 0.6667, 0.7500)
C (0.6667, 0.3333, 0.2500)

- Total DFT energy (no corrections): -10.22 eV per atom
- Magnetization: 0.0 μB/cell

[3]
DFT (GGA-PBE) results for a relaxed structure of Tb5Ge4.

Cell: 7.6994 14.7877 7.7758 Å, 90.00 90.00 90.00°
Positions (direct):
Tb (0.0253, 0.1013, 0.1773)
Tb (0.0253, 0.3987, 0.1773)
Tb (0.1230, 0.6168, 0.3396)
Tb (0.1230, 0.8832, 0.3396)
Tb (0.2129, 0.2500, 0.5019)
Tb (0.2871, 0.7500, 0.0019)
Tb (0.3770, 0.1168, 0.8396)
Tb (0.3770, 0.3832, 0.8396)
Tb (0.4747, 0.6013, 0.6773)
Tb (0.4747, 0.8987, 0.6773)
Tb (0.5253, 0.1013, 0.3227)
Tb (0.5253, 0.3987, 0.3227)
Tb (0.6230, 0.6168, 0.1604)
Tb (0.6230, 0.8832, 0.1604)
Tb (0.7129, 0.2500, 0.9981)
Tb (0.7871, 0.7500, 0.4981)
Tb (0.8770, 0.1168, 0.6604)
Tb (0.8770, 0.3832, 0.6604)
Tb (0.9747, 0.6013, 0.8227)
Tb (0.9747, 0.8987, 0.8227)
Ge (0.0826, 0.2500, 0.8843)
Ge (0.1694, 0.7500, 0.6371)
Ge (0.2190, 0.0441, 0.5333)
Ge (0.2190, 0.4559, 0.5333)
Ge (0.2810, 0.5441, 0.0333)
Ge (0.2810, 0.9559, 0.0333)
Ge (0.3306, 0.2500, 0.1371)
Ge (0.4174, 0.7500, 0.3843)
Ge (0.5826, 0.2500, 0.6157)
Ge (0.6694, 0.7500, 0.8629)
Ge (0.7190, 0.0441, 0.9667)
Ge (0.7190, 0.4559, 0.9667)
Ge (0.7810, 0.5441, 0.4667)
Ge (0.7810, 0.9559, 0.4667)
Ge (0.8306, 0.2500, 0.3629)
Ge (0.9174, 0.7500, 0.1157)

- Total DFT energy (no corrections): -5.48 eV per atom

[4]
DFT (GGA-PBE) results for a relaxed structure of HfMg6Mo.

Cell: 5.0448 5.8154 11.2549 Å, 90.00 90.00 90.00°
Positions (direct):
Mg (0.5000, 0.2507, 0.4227)
Mg (0.5000, 0.7493, 0.4227)
Mg (0.0000, 0.2586, 0.5859)
Mg (0.0000, 0.0000, 0.3140)
Mg (0.0000, 0.7586, 0.0859)
Mg (0.0000, 0.5000, 0.3256)
Mg (0.0000, 0.2414, 0.0859)
Mg (0.0000, 0.0000, 0.8256)
Mg (0.5000, 0.2493, 0.9227)
Mg (0.0000, 0.7414, 0.5859)
Mg (0.0000, 0.5000, 0.8140)
Mg (0.5000, 0.7507, 0.9227)
Hf (0.5000, 0.0000, 0.6721)
Hf (0.5000, 0.5000, 0.1721)
Mo (0.5000, 0.5000, 0.6712)
Mo (0.5000, 0.0000, 0.1712)

- Magnetization: 0.0 μB/cell
- Distance to the lowest polymorph of the same formula: 48.1 kJ/mol of formula units

[5]
DFT (GGA-PBE) results for a relaxed structure of LuC2.

Cell: 3.8124 3.8124 3.8124 Å, 124.40 104.39 100.74°
Positions (direct):
Lu (0.0000, 0.0000, 0.0000)
C (0.3598, 0.5000, 0.8598)
C (0.6402, 0.5000, 0.1402)

- Magnetization: 0.0 μB/cell
- Distance to the lowest polymorph of the same formula: 21.1 kJ/mol of formula units

[6]
DFT (GGA-PBE) results for a relaxed structure of Ce4SnO10.

Cell: 10.1554 10.1554 10.1554 Å, 158.35 149.06 38.08°
Positions (direct):
Ce (0.0978, 0.0978, 0.0000)
Ce (0.3013, 0.3013, 0.0000)
Ce (0.6987, 0.6987, 0.0000)
Ce (0.9022, 0.9022, 0.0000)
Sn (0.5000, 0.5000, 0.0000)
O (0.0494, 0.8009, 0.2486)
O (0.1615, 0.4050, 0.7565)
O (0.2653, 0.0000, 0.2653)
O (0.3515, 0.5950, 0.7565)
O (0.4477, 0.1991, 0.2486)
O (0.5523, 0.8009, 0.7514)
O (0.6485, 0.4050, 0.2435)
O (0.7347, 0.0000, 0.7347)
O (0.8385, 0.5950, 0.2435)
O (0.9506, 0.1991, 0.7514)

- Magnetization: 0.0 μB/cell
- Distance to the lowest polymorph of the same formula: 34.1 kJ/mol of formula units

[7]
DFT (GGA-PBE) results for a relaxed structure of Y4C5.

Cell: 6.6063 11.9959 3.6834 Å, 90.00 90.00 90.00°
Positions (direct):
Y (0.1068, 0.1960, 0.0000)
Y (0.2434, 0.9571, 0.5000)
Y (0.2566, 0.4571, 0.5000)
Y (0.3932, 0.6960, 0.0000)
Y (0.6068, 0.3040, 0.0000)
Y (0.7434, 0.5429, 0.5000)
Y (0.7566, 0.0429, 0.5000)
Y (0.8932, 0.8040, 0.0000)
C (0.0000, 0.0000, 0.0000)
C (0.0975, 0.6553, 0.5000)
C (0.1396, 0.7639, 0.5000)
C (0.3604, 0.2639, 0.5000)
C (0.4025, 0.1553, 0.5000)
C (0.5000, 0.5000, 0.0000)
C (0.5975, 0.8447, 0.5000)
C (0.6396, 0.7361, 0.5000)
C (0.8604, 0.2361, 0.5000)
C (0.9025, 0.3447, 0.5000)

- Total DFT energy (no corrections): -8.33 eV per atom

[8]
DFT (GGA-PBE) results for a relaxed structure of CaMg3Si4O12.

Cell: 6.6803 6.6803 5.3168 Å, 103.01 103.01 84.64°
Positions (direct):
Ca (0.0000, 0.0000, 0.0000)
Mg (0.2044, 0.7956, 0.5000)
Mg (0.3931, 0.6069, 0.0000)
Mg (0.5541, 0.4459, 0.5000)
Si (0.1041, 0.3170, 0.5073)
Si (0.5001, 0.0834, 0.0003)
Si (0.6830, 0.8959, 0.4927)
Si (0.9166, 0.4999, 0.9997)
O (0.0903, 0.6717, 0.1019)
O (0.1890, 0.0843, 0.4233)
O (0.2758, 0.4921, 0.6054)
O (0.3283, 0.9097, 0.8981)
O (0.4320, 0.3201, 0.1103)
O (0.5079, 0.7242, 0.3946)
O (0.6360, 0.0652, 0.7642)
O (0.6747, 0.0258, 0.2578)
O (0.6799, 0.5680, 0.8897)
O (0.9157, 0.8110, 0.5767)
O (0.9348, 0.3640, 0.2358)
O (0.9742, 0.3253, 0.7422)

- Total DFT energy (no corrections): -7.26 eV per atom
- Magnetization: 0.0 μB/cell

[9]
DFT (GGA-PBE) results for a relaxed structure of Ce2FeRu3.

Cell: 5.0784 5.0784 5.0784 Å, 65.39 65.39 65.39°
Positions (direct):
Ce (0.1279, 0.1279, 0.1279)
Ce (0.8721, 0.8721, 0.8721)
Fe (0.5000, 0.5000, 0.5000)
Ru (0.0000, 0.5000, 0.5000)
Ru (0.5000, 0.0000, 0.5000)
Ru (0.5000, 0.5000, 0.0000)

- Total DFT energy (no corrections): -8.31 eV per atom

[10]
DFT (GGA-PBE) results for a relaxed structure of SmTiFe11.

Cell: 6.4859 6.4859 6.4859 Å, 137.40 97.21 97.96°
Positions (direct):
Sm (0.0000, 0.0000, 0.0000)
Ti (0.3728, 0.3728, 0.0000)
Fe (0.0028, 0.0030, 0.4978)
Fe (0.0028, 0.5050, 0.9997)
Fe (0.2304, 0.7304, 0.5000)
Fe (0.2309, 0.5056, 0.7252)
Fe (0.3607, 0.0040, 0.3567)
Fe (0.5052, 0.0030, 0.0003)
Fe (0.5052, 0.5050, 0.5022)
Fe (0.6473, 0.0040, 0.6433)
Fe (0.6504, 0.6504, 0.0000)
Fe (0.7740, 0.2740, 0.5000)
Fe (0.7804, 0.5056, 0.2748)

- Total DFT energy (no corrections): -8.19 eV per atom
- Magnetization: 21.4 μB/cell

[11]
DFT (GGA-PBE) results for a relaxed structure of Sr2YCu2Bi2O8.

Cell: 15.5980 15.5980 5.3502 Å, 90.00 90.00 159.67°
Positions (direct):
Sr (0.1099, 0.3864, 0.0000)
Sr (0.3864, 0.1099, 0.5000)
Sr (0.6136, 0.8901, 0.5000)
Sr (0.8901, 0.6136, 0.0000)
Y (0.0000, 0.5000, 0.0000)
Y (0.5000, 0.0000, 0.5000)
Cu (0.0510, 0.4491, 0.5000)
Cu (0.4491, 0.0510, 0.0000)
Cu (0.5509, 0.9490, 0.0000)
Cu (0.9490, 0.5509, 0.5000)
Bi (0.2238, 0.3199, 0.5000)
Bi (0.3199, 0.2238, 0.0000)
Bi (0.6801, 0.7762, 0.0000)
Bi (0.7762, 0.6801, 0.5000)
O (0.1219, 0.3543, 0.5000)
O (0.2018, 0.7982, 0.2500)
O (0.2018, 0.7982, 0.7500)
O (0.2847, 0.3860, 0.0000)
O (0.2985, 0.7015, 0.2500)
O (0.2985, 0.7015, 0.7500)
O (0.3543, 0.1219, 0.0000)
O (0.3860, 0.2847, 0.5000)
O (0.6140, 0.7153, 0.5000)
O (0.6457, 0.8781, 0.0000)
O (0.7015, 0.2985, 0.2500)
O (0.7015, 0.2985, 0.7500)
O (0.7153, 0.6140, 0.0000)
O (0.7982, 0.2018, 0.2500)
O (0.7982, 0.2018, 0.7500)
O (0.8781, 0.6457, 0.5000)

- Magnetization: 0.3 μB/cell
- Distance to the lowest polymorph of the same formula: 0.0 kJ/mol of formula units

[12]
DFT (GGA-PBE) results for a relaxed structure of TiVTc2.

Cell: 4.3349 4.3349 4.3349 Å, 60.00 60.00 60.00°
Positions (direct):
Ti (0.0000, 0.0000, 0.0000)
V (0.5000, 0.5000, 0.5000)
Tc (0.2500, 0.2500, 0.2500)
Tc (0.7500, 0.7500, 0.7500)

- Total DFT energy (no corrections): -9.88 eV per atom

[13]
DFT (GGA-PBE) results for a relaxed structure of Cr2CoP3.

Cell: 5.2624 3.1088 17.6203 Å, 90.00 90.01 90.00°
Positions (direct):
Cr (0.0000, 0.0000, 0.0000)
Cr (0.0007, 0.0000, 0.3310)
Cr (0.0122, 0.5000, 0.4603)
Cr (0.0132, 0.5000, 0.7947)
Cr (0.4970, 0.0000, 0.6316)
Cr (0.4982, 0.0000, 0.9663)
Cr (0.5008, 0.0000, 0.2970)
Cr (0.9993, 0.0000, 0.6661)
Co (0.0056, 0.5000, 0.1321)
Co (0.5053, 0.5000, 0.1646)
Co (0.5096, 0.5000, 0.4985)
Co (0.5103, 0.5000, 0.8321)
P (0.1873, 0.5000, 0.9186)
P (0.1877, 0.5000, 0.5848)
P (0.1939, 0.5000, 0.2513)
P (0.3165, 0.0000, 0.0906)
P (0.3211, 0.0000, 0.7559)
P (0.3220, 0.0000, 0.4214)
P (0.6904, 0.5000, 0.3757)
P (0.6925, 0.5000, 0.7095)
P (0.6946, 0.5000, 0.0448)
P (0.8129, 0.0000, 0.5407)
P (0.8129, 0.0000, 0.8741)
P (0.8158, 0.0000, 0.2065)

- Total DFT energy (no corrections): -7.65 eV per atom
- Magnetization: 5.7 μB/cell

[14]
DFT (GGA-PBE) results for a relaxed structure of K2LuZrP3O12.

Cell: 10.4358 10.4358 10.4358 Å, 90.00 90.00 90.00°
Positions (direct):
K (0.0669, 0.4331, 0.5669)
K (0.2010, 0.7990, 0.2990)
K (0.2990, 0.2010, 0.7990)
K (0.4331, 0.5669, 0.0669)
K (0.5669, 0.0669, 0.4331)
K (0.7010, 0.7010, 0.7010)
K (0.7990, 0.2990, 0.2010)
K (0.9331, 0.9331, 0.9331)
Lu (0.1465, 0.1465, 0.1465)
Lu (0.3535, 0.8535, 0.6465)
Lu (0.6465, 0.3535, 0.8535)
Lu (0.8535, 0.6465, 0.3535)
Zr (0.0835, 0.5835, 0.9165)
Zr (0.4165, 0.4165, 0.4165)
Zr (0.5835, 0.9165, 0.0835)
Zr (0.9165, 0.0835, 0.5835)
P (0.0383, 0.7654, 0.6263)
P (0.1263, 0.4617, 0.2346)
P (0.2346, 0.1263, 0.4617)
P (0.2654, 0.8737, 0.9617)
P (0.3737, 0.5383, 0.7346)
P (0.4617, 0.2346, 0.1263)
P (0.5383, 0.7346, 0.3737)
P (0.6263, 0.0383, 0.7654)
P (0.7346, 0.3737, 0.5383)
P (0.7654, 0.6263, 0.0383)
P (0.8737, 0.9617, 0.2654)
P (0.9617, 0.2654, 0.8737)
O (0.0078, 0.4066, 0.8521)
O (0.0223, 0.6904, 0.7550)
O (0.0274, 0.5493, 0.3002)
O (0.0493, 0.1998, 0.9726)
O (0.0806, 0.3223, 0.2383)
O (0.0934, 0.1479, 0.5078)
O (0.1479, 0.5078, 0.0934)
O (0.1777, 0.7617, 0.5806)
O (0.1904, 0.7450, 0.9777)
O (0.1998, 0.9726, 0.0493)
O (0.2383, 0.0806, 0.3223)
O (0.2450, 0.5223, 0.8096)
O (0.2550, 0.4777, 0.3096)
O (0.2617, 0.9194, 0.8223)
O (0.3002, 0.0274, 0.5493)
O (0.3096, 0.2550, 0.4777)
O (0.3223, 0.2383, 0.0806)
O (0.3521, 0.4922, 0.5934)
O (0.4066, 0.8521, 0.0078)
O (0.4194, 0.6777, 0.7383)
O (0.4507, 0.8002, 0.4726)
O (0.4726, 0.4507, 0.8002)
O (0.4777, 0.3096, 0.2550)
O (0.4922, 0.5934, 0.3521)
O (0.5078, 0.0934, 0.1479)
O (0.5223, 0.8096, 0.2450)
O (0.5274, 0.9507, 0.6998)
O (0.5493, 0.3002, 0.0274)
O (0.5806, 0.1777, 0.7617)
O (0.5934, 0.3521, 0.4922)
O (0.6479, 0.9922, 0.9066)
O (0.6777, 0.7383, 0.4194)
O (0.6904, 0.7550, 0.0223)
O (0.6998, 0.5274, 0.9507)
O (0.7383, 0.4194, 0.6777)
O (0.7450, 0.9777, 0.1904)
O (0.7550, 0.0223, 0.6904)
O (0.7617, 0.5806, 0.1777)
O (0.8002, 0.4726, 0.4507)
O (0.8096, 0.2450, 0.5223)
O (0.8223, 0.2617, 0.9194)
O (0.8521, 0.0078, 0.4066)
O (0.9066, 0.6479, 0.9922)
O (0.9194, 0.8223, 0.2617)
O (0.9507, 0.6998, 0.5274)
O (0.9726, 0.0493, 0.1998)
O (0.9777, 0.1904, 0.7450)
O (0.9922, 0.9066, 0.6479)

- Total DFT energy (no corrections): -7.54 eV per atom
- Magnetization: 0.0 μB/cell

[15]
DFT (GGA-PBE) results for a relaxed structure of HfB12.

Cell: 5.2216 5.2216 5.2216 Å, 60.00 60.00 60.00°
Positions (direct):
Hf (0.0000, 0.0000, 0.0000)
B (0.1607, 0.5000, 0.5000)
B (0.1607, 0.5000, 0.8393)
B (0.1607, 0.8393, 0.5000)
B (0.5000, 0.1607, 0.5000)
B (0.5000, 0.1607, 0.8393)
B (0.5000, 0.5000, 0.1607)
B (0.5000, 0.5000, 0.8393)
B (0.5000, 0.8393, 0.1607)
B (0.5000, 0.8393, 0.5000)
B (0.8393, 0.1607, 0.5000)
B (0.8393, 0.5000, 0.1607)
B (0.8393, 0.5000, 0.5000)

- Total DFT energy (no corrections): -7.12 eV per atom

[16]
DFT (GGA-PBE) results for a relaxed structure of CeS2.

Cell: 8.0462 4.0368 8.0099 Å, 90.00 90.18 90.00°
Positions (direct):
Ce (0.2223, 0.2176, 0.1303)
Ce (0.2223, 0.2824, 0.6303)
Ce (0.7777, 0.7176, 0.3697)
Ce (0.7777, 0.7824, 0.8697)
S (0.1360, 0.7390, 0.3755)
S (0.1360, 0.7610, 0.8755)
S (0.4980, 0.6613, 0.1087)
S (0.4980, 0.8387, 0.6087)
S (0.5020, 0.1613, 0.3913)
S (0.5020, 0.3387, 0.8913)
S (0.8640, 0.2390, 0.1245)
S (0.8640, 0.2610, 0.6245)

- Total DFT energy (no corrections): -6.46 eV per atom